1.
KLuO2 | r²SCAN | optimized geometry

Output
The total moment comes out at 0.0 μB/f.u. Its space group is R-3m. As for the total energy: -205.83 eV/cell. As for the formation energy from the elements: -3.14 eV per atom. As for the crystal system: trigonal.

Cell lengths 3.347, 3.347, 18.483 Å; angles 90.00, 90.00, 120.00 degrees
Element x y z (fractional)
K 0.000 0.000 0.000
K 0.333 0.667 0.667
K 0.667 0.333 0.333
Lu 0.000 0.000 0.500
Lu 0.333 0.667 0.167
Lu 0.667 0.333 0.833
O 0.000 0.000 0.227
O 0.000 0.000 0.773
O 0.333 0.667 0.439
O 0.333 0.667 0.894
O 0.667 0.333 0.106
O 0.667 0.333 0.561

---

2.
Cs | r²SCAN | optimized geometry

Output
The total moment comes out at 0.2 μB/f.u. Its energy above the lowest structure with this stoichiometry is 0.033 eV/atom. Its space group is Pm-3n. As for the total energy: -200.60 eV/cell. As for the formation energy from the elements: 0.03 eV per atom. As for the crystal system: cubic.

Cell lengths 9.965, 9.965, 9.965 Å; angles 90.00, 90.00, 90.00 degrees
Element x y z (fractional)
Cs 0.000 0.000 0.000
Cs 0.000 0.250 0.500
Cs 0.000 0.750 0.500
Cs 0.250 0.500 0.000
Cs 0.500 0.000 0.250
Cs 0.500 0.000 0.750
Cs 0.500 0.500 0.500
Cs 0.750 0.500 0.000

---

3.
B5H9 | r²SCAN | optimized geometry

Output
The total moment comes out at 0.0 μB/f.u. Its space group is I4mm. As for the total energy: -68.57 eV/cell. As for the formation energy from the elements: -0.05 eV per atom. As for the crystal system: tetragonal.

Cell lengths 5.771, 5.771, 5.771 Å; angles 102.22, 102.22, 125.21 degrees
Element x y z (fractional)
B 0.000 0.000 0.000
B 0.037 0.211 0.826
B 0.211 0.037 0.826
B 0.211 0.386 0.174
B 0.386 0.211 0.174
H 0.186 0.522 0.337
H 0.186 0.849 0.663
H 0.249 0.249 0.737
H 0.249 0.512 0.000
H 0.512 0.249 0.000
H 0.512 0.512 0.263
H 0.522 0.186 0.337
H 0.777 0.777 0.000
H 0.849 0.186 0.663

---

4.
VCl4 | r²SCAN | optimized geometry

Output
The total moment comes out at 1.0 μB/f.u. Its space group is P2/c. As for the total energy: -180.36 eV/cell. As for the formation energy from the elements: -1.28 eV per atom. As for the crystal system: monoclinic.

Cell lengths 12.330, 6.400, 12.716 Å; angles 90.00, 116.85, 90.00 degrees
Element x y z (fractional)
V 0.235 0.070 0.082
V 0.235 0.930 0.582
V 0.765 0.070 0.418
V 0.765 0.930 0.918
Cl 0.107 0.082 0.425
Cl 0.107 0.918 0.925
Cl 0.168 0.377 0.083
Cl 0.168 0.623 0.583
Cl 0.260 0.097 0.737
Cl 0.260 0.903 0.237
Cl 0.409 0.082 0.083
Cl 0.409 0.918 0.583
Cl 0.591 0.082 0.417
Cl 0.591 0.918 0.917
Cl 0.740 0.097 0.763
Cl 0.740 0.903 0.263
Cl 0.832 0.377 0.417
Cl 0.832 0.623 0.917
Cl 0.893 0.082 0.075
Cl 0.893 0.918 0.575

---

5.
Mg2ZnSb2 | r²SCAN | optimized geometry

Output
The total moment comes out at 0.0 μB/f.u. Its space group is P3m1. As for the total energy: -70.31 eV/cell. As for the formation energy from the elements: -0.33 eV per atom. As for the crystal system: trigonal.

Cell lengths 4.437, 4.437, 7.265 Å; angles 90.00, 90.00, 120.00 degrees
Element x y z (fractional)
Mg 0.000 0.000 0.000
Mg 0.333 0.667 0.633
Zn 0.667 0.333 0.246
Sb 0.000 0.000 0.387
Sb 0.667 0.333 0.850

---

6.
HfMo2 | r²SCAN | optimized geometry

Output
The total moment comes out at 0.0 μB/f.u. Its energy above the lowest structure with this stoichiometry is 0.008 eV/atom. Its space group is P6_3/mmc. As for the total energy: -782.32 eV/cell. As for the formation energy from the elements: -0.16 eV per atom. As for the crystal system: hexagonal.

Cell lengths 5.348, 5.348, 17.370 Å; angles 90.00, 90.00, 120.00 degrees
Element x y z (fractional)
Hf 0.000 0.000 0.095
Hf 0.000 0.000 0.405
Hf 0.000 0.000 0.595
Hf 0.000 0.000 0.905
Hf 0.333 0.667 0.156
Hf 0.333 0.667 0.344
Hf 0.667 0.333 0.656
Hf 0.667 0.333 0.844
Mo 0.000 0.500 0.000
Mo 0.000 0.500 0.500
Mo 0.163 0.327 0.750
Mo 0.163 0.837 0.750
Mo 0.327 0.163 0.250
Mo 0.333 0.667 0.623
Mo 0.333 0.667 0.877
Mo 0.500 0.000 0.000
Mo 0.500 0.000 0.500
Mo 0.500 0.500 0.000
Mo 0.500 0.500 0.500
Mo 0.667 0.333 0.123
Mo 0.667 0.333 0.377
Mo 0.673 0.837 0.750
Mo 0.837 0.163 0.250
Mo 0.837 0.673 0.250

---

7.
ZnH11C5NO6 | r²SCAN | optimized geometry

Output
The total moment comes out at 0.0 μB/f.u. As for the total energy: -632.68 eV/cell. As for the formation energy from the elements: -0.69 eV per atom.

Cell lengths 14.049, 8.188, 8.601 Å; angles 90.00, 120.92, 90.00 degrees
Element x y z (fractional)
Zn 0.000 0.252 0.000
Zn 0.000 0.748 0.500
Zn 0.500 0.752 0.000
Zn 0.500 0.248 0.500
H 0.687 0.147 0.066
H 0.687 0.853 0.566
H 0.187 0.647 0.066
H 0.187 0.353 0.566
H 0.693 0.345 0.984
H 0.693 0.655 0.484
H 0.193 0.845 0.984
H 0.193 0.155 0.484
H 0.626 0.317 0.111
H 0.626 0.683 0.611
H 0.126 0.817 0.111
H 0.126 0.183 0.611
H 0.249 0.351 0.249
H 0.249 0.649 0.749
H 0.749 0.851 0.249
H 0.749 0.149 0.749
H 0.009 0.571 0.827
H 0.009 0.429 0.327
H 0.509 0.071 0.827
H 0.509 0.929 0.327
H 0.037 0.954 0.237
H 0.037 0.046 0.737
H 0.537 0.454 0.237
H 0.537 0.546 0.737
H 0.863 0.258 0.246
H 0.863 0.742 0.746
H 0.363 0.758 0.246
H 0.363 0.242 0.746
H 0.814 0.434 0.285
H 0.814 0.566 0.785
H 0.314 0.934 0.285
H 0.314 0.066 0.785
H 0.884 0.264 0.544
H 0.884 0.736 0.044
H 0.384 0.764 0.544
H 0.384 0.236 0.044
H 0.793 0.105 0.406
H 0.793 0.895 0.906
H 0.293 0.605 0.406
H 0.293 0.395 0.906
H 0.737 0.289 0.434
H 0.737 0.711 0.934
H 0.237 0.789 0.434
H 0.237 0.211 0.934
C 0.694 0.277 0.093
C 0.694 0.723 0.593
C 0.194 0.777 0.093
C 0.194 0.223 0.593
C 0.248 0.216 0.249
C 0.248 0.784 0.749
C 0.748 0.716 0.249
C 0.748 0.284 0.749
C 0.033 0.478 0.761
C 0.033 0.522 0.261
C 0.533 0.978 0.761
C 0.533 0.022 0.261
C 0.978 0.025 0.256
C 0.978 0.975 0.756
C 0.478 0.525 0.256
C 0.478 0.475 0.756
C 0.804 0.237 0.424
C 0.804 0.763 0.924
C 0.304 0.737 0.424
C 0.304 0.263 0.924
N 0.801 0.308 0.263
N 0.801 0.692 0.763
N 0.301 0.808 0.263
N 0.301 0.192 0.763
O 0.156 0.144 0.161
O 0.156 0.856 0.661
O 0.656 0.644 0.161
O 0.656 0.356 0.661
O 0.047 0.524 0.633
O 0.047 0.476 0.133
O 0.547 0.024 0.633
O 0.547 0.976 0.133
O 0.046 0.334 0.819
O 0.046 0.666 0.319
O 0.546 0.834 0.819
O 0.546 0.166 0.319
O 0.943 0.968 0.353
O 0.943 0.032 0.853
O 0.443 0.468 0.353
O 0.443 0.532 0.853
O 0.948 0.163 0.177
O 0.948 0.837 0.677
O 0.448 0.663 0.177
O 0.448 0.337 0.677
O 0.340 0.142 0.338
O 0.340 0.858 0.838
O 0.840 0.642 0.338
O 0.840 0.358 0.838

---

8.
Sm3AlC | r²SCAN | optimized geometry

Output
The total moment comes out at 0.0 μB/f.u. Its space group is Pm-3m. As for the total energy: -107.77 eV/cell. As for the formation energy from the elements: -0.38 eV per atom. As for the crystal system: cubic.

Cell lengths 5.016, 5.016, 5.016 Å; angles 90.00, 90.00, 90.00 degrees
Element x y z (fractional)
Sm 0.000 0.000 0.500
Sm 0.000 0.500 0.000
Sm 0.500 0.000 0.000
Al 0.500 0.500 0.500
C 0.000 0.000 0.000

---

9.
ErSbPd | r²SCAN | optimized geometry

Output
The total moment comes out at 0.0 μB/f.u. Its space group is F-43m. As for the total energy: -345.19 eV/cell. As for the formation energy from the elements: -1.23 eV per atom. As for the crystal system: cubic.

Cell lengths 6.524, 6.524, 6.524 Å; angles 90.00, 90.00, 90.00 degrees
Element x y z (fractional)
Er 0.000 0.000 0.000
Er 0.000 0.500 0.500
Er 0.500 0.000 0.500
Er 0.500 0.500 0.000
Sb 0.000 0.000 0.500
Sb 0.000 0.500 0.000
Sb 0.500 0.000 0.000
Sb 0.500 0.500 0.500
Pd 0.250 0.250 0.250
Pd 0.250 0.750 0.750
Pd 0.750 0.250 0.750
Pd 0.750 0.750 0.250

---

10.
GeBr4 | r²SCAN | optimized geometry

Output
The total moment comes out at 0.0 μB/f.u. Its space group is P2_1/c. As for the total energy: -281.65 eV/cell. As for the formation energy from the elements: -0.70 eV per atom. As for the crystal system: monoclinic.

Cell lengths 10.426, 6.884, 10.626 Å; angles 90.00, 102.77, 90.00 degrees
Element x y z (fractional)
Ge 0.250 0.071 0.142
Ge 0.250 0.429 0.642
Ge 0.750 0.571 0.358
Ge 0.750 0.929 0.858
Br 0.078 0.582 0.699
Br 0.078 0.918 0.199
Br 0.193 0.115 0.586
Br 0.193 0.385 0.086
Br 0.302 0.587 0.471
Br 0.302 0.913 0.971
Br 0.428 0.067 0.311
Br 0.428 0.433 0.811
Br 0.572 0.567 0.189
Br 0.572 0.933 0.689
Br 0.698 0.087 0.029
Br 0.698 0.413 0.529
Br 0.807 0.615 0.914
Br 0.807 0.885 0.414
Br 0.922 0.082 0.801
Br 0.922 0.418 0.301

---

11.
Ac3Yb | r²SCAN | optimized geometry

Output
The total moment comes out at 0.0 μB/f.u. Its space group is I4/mmm. As for the total energy: -484.35 eV/cell. As for the formation energy from the elements: 0.07 eV per atom. As for the crystal system: tetragonal.

Cell lengths 5.505, 5.505, 10.886 Å; angles 90.00, 90.00, 90.00 degrees
Element x y z (fractional)
Ac 0.000 0.000 0.000
Ac 0.000 0.500 0.250
Ac 0.000 0.500 0.750
Ac 0.500 0.000 0.250
Ac 0.500 0.000 0.750
Ac 0.500 0.500 0.500
Yb 0.000 0.000 0.500
Yb 0.500 0.500 0.000

---

12.
HoMgSn | r²SCAN | optimized geometry

Output
The total moment comes out at 0.0 μB/f.u. Its space group is I4/mmm. As for the total energy: -254.94 eV/cell. As for the formation energy from the elements: -0.65 eV per atom. As for the crystal system: tetragonal.

Cell lengths 4.367, 4.367, 15.791 Å; angles 90.00, 90.00, 90.00 degrees
Element x y z (fractional)
Ho 0.000 0.000 0.167
Ho 0.000 0.000 0.833
Ho 0.500 0.500 0.333
Ho 0.500 0.500 0.667
Mg 0.000 0.500 0.000
Mg 0.000 0.500 0.500
Mg 0.500 0.000 0.000
Mg 0.500 0.000 0.500
Sn 0.000 0.000 0.364
Sn 0.000 0.000 0.636
Sn 0.500 0.500 0.136
Sn 0.500 0.500 0.864

---

Please write out number 4 again, unchanged.
VCl4 | r²SCAN | optimized geometry

Output
The total moment comes out at 1.0 μB/f.u. Its space group is P2/c. As for the total energy: -180.36 eV/cell. As for the formation energy from the elements: -1.28 eV per atom. As for the crystal system: monoclinic.

Cell lengths 12.330, 6.400, 12.716 Å; angles 90.00, 116.85, 90.00 degrees
Element x y z (fractional)
V 0.235 0.070 0.082
V 0.235 0.930 0.582
V 0.765 0.070 0.418
V 0.765 0.930 0.918
Cl 0.107 0.082 0.425
Cl 0.107 0.918 0.925
Cl 0.168 0.377 0.083
Cl 0.168 0.623 0.583
Cl 0.260 0.097 0.737
Cl 0.260 0.903 0.237
Cl 0.409 0.082 0.083
Cl 0.409 0.918 0.583
Cl 0.591 0.082 0.417
Cl 0.591 0.918 0.917
Cl 0.740 0.097 0.763
Cl 0.740 0.903 0.263
Cl 0.832 0.377 0.417
Cl 0.832 0.623 0.917
Cl 0.893 0.082 0.075
Cl 0.893 0.918 0.575

---

Q: total moment of number 2 (Cs)?
A: 0.2 μB/f.u.

---

Q: formation energy from the elements of number 1 (KLuO2)?
A: -3.14 eV per atom